1.
A relaxed Mg4Si7 crystal, computed with PBE-GGA.

Values from the calculation:
- SG = Pm (6)
- VASP energy (eV per atom) = -3.911
- E_form (eV/atom) = 0.169

a = 3.9022 Å, b = 6.4798 Å, c = 15.5365 Å
α = 80.41°, β = 90.00°, γ = 90.00°
Last column: nearest neighbours and their distance in Å.
Fractional positions:
1 Mg 0.0000 0.9379 0.9036  10 Si 2.75-3.06
2 Mg 0.0000 0.3920 0.5039  3 Si 2.64-2.96
3 Mg 0.5000 0.2853 0.3491  5 Si 2.72-2.93
4 Mg 0.5000 0.5219 0.6556  8 Si 2.80-3.07
5 Mg 0.0000 0.4498 0.8444  10 Si 2.80-3.06
6 Mg 0.5000 0.7305 0.1923  9 Si 2.73-2.98
7 Mg 0.5000 0.7441 0.4182  8 Si 2.78-3.08
8 Mg 0.5000 0.0507 0.5807  8 Si 2.78-3.00, 2 Mg 3.04
9 Si 0.5000 0.2059 0.9731  4 Si 2.48-2.68
10 Si 0.5000 0.5878 0.9751  4 Si 2.46-2.63
11 Si 0.0000 0.6683 0.0605  4 Si 2.45-2.50
12 Si 0.0000 0.4030 0.1929  4 Si 2.45-2.56
13 Si 0.0000 0.7609 0.5555  2 Si 2.38-2.46, 1 Mg 2.64
14 Si 0.0000 0.0399 0.4347  2 Si 2.38-2.50
15 Si 0.5000 0.1564 0.1770  6 Si 2.56-2.71, 1 Mg 2.73
16 Si 0.5000 0.7627 0.8099  4 Si 2.51-2.64, 4 Mg 2.79-2.80
17 Si 0.0000 0.2022 0.6958  3 Si 2.44-2.56
18 Si 0.0000 0.0495 0.0713  5 Si 2.50-2.71
19 Si 0.0000 0.5889 0.3178  2 Si 2.45
20 Si 0.5000 0.1724 0.8038  4 Si 2.56-2.68, 4 Mg 2.78-2.80
21 Si 0.0000 0.8219 0.7076  4 Si 2.44-2.51
22 Si 0.0000 0.9720 0.2808  4 Si 2.45-2.68

=====

2.
A relaxed Mg4Si3 crystal, computed with PBE-GGA.

Values from the calculation:
- SG = P1 (1)
- VASP energy (eV per atom) = -3.206
- E_form (eV/atom) = 0.064

a = 5.6032 Å, b = 7.6313 Å, c = 8.0283 Å
α = 122.09°, β = 111.01°, γ = 89.93°
Last column: nearest neighbours and their distance in Å.
Fractional positions:
1 Mg 0.6384 0.5061 0.8227  7 Si 2.81-3.00, 2 Mg 3.12-3.14
2 Mg 0.5476 0.9948 0.0432  5 Si 2.76-2.90, 3 Mg 3.04-3.07
3 Mg 0.4955 0.9326 0.3777  4 Si 2.72-2.98, 2 Mg 2.80-2.82
4 Mg 0.9914 0.9532 0.3657  4 Si 2.75-2.88, 3 Mg 2.80-3.04
5 Mg 0.6035 0.4663 0.1815  6 Si 2.83-3.14, 3 Mg 2.99-3.13
6 Mg 0.0897 0.7176 0.5986  7 Si 2.80-3.01, 4 Mg 2.99-3.06
7 Mg 0.2435 0.3090 0.3391  4 Si 2.77-3.02, 1 Mg 3.03
8 Mg 0.9841 0.1597 0.8363  5 Si 2.68-2.92
9 Si 0.4340 0.1037 0.7511  1 Si 2.56, 5 Mg 2.72-2.83
10 Si 0.1791 0.5683 0.8906  3 Si 2.44-2.68
11 Si 0.0136 0.8895 0.9853  2 Si 2.44-2.53
12 Si 0.6087 0.7671 0.6416  2 Si 2.53-2.56, 1 Mg 2.80
13 Si 0.1105 0.5617 0.1844  1 Si 2.55, 4 Mg 2.68-2.83
14 Si 0.8103 0.3204 0.4822  1 Si 2.68, 6 Mg 2.77-2.98

=====

3.
A relaxed Mg2Si3 crystal, computed with PBE-GGA.

Values from the calculation:
- SG = P1 (1)
- VASP energy (eV per atom) = -3.767
- E_form (eV/atom) = 0.171

a = 3.5524 Å, b = 6.0692 Å, c = 17.9801 Å
α = 94.85°, β = 94.40°, γ = 107.00°
Last column: nearest neighbours and their distance in Å.
Fractional positions:
1 Mg 0.7249 0.1367 0.2025  6 Si 2.72-2.97
2 Mg 0.8269 0.7375 0.8048  6 Si 2.63-2.89
3 Mg 0.4667 0.8158 0.0553  6 Si 2.78-3.00, 2 Mg 3.05-3.06
4 Mg 0.0867 0.0680 0.9466  5 Si 2.75-2.95, 2 Mg 3.01-3.05
5 Mg 0.0688 0.3450 0.6969  6 Si 2.79-3.07, 1 Mg 3.11
6 Mg 0.4628 0.5380 0.2975  8 Si 2.78-3.11
7 Mg 0.0931 0.5617 0.5460  5 Si 2.70-3.01
8 Mg 0.7357 0.8748 0.4538  5 Si 2.81-3.01, 1 Mg 3.10
9 Si 0.7361 0.3040 0.0519  3 Si 2.47-2.51
10 Si 0.8024 0.5667 0.9496  3 Si 2.50-2.51
11 Si 0.3478 0.4483 0.1417  4 Si 2.47-2.54
12 Si 0.1960 0.4227 0.8574  4 Si 2.50-2.54, 2 Mg 2.75-2.77
13 Si 0.3501 0.9618 0.6783  4 Si 2.37-2.55
14 Si 0.1693 0.9182 0.3156  3 Si 2.49-2.53
15 Si 0.4034 0.1369 0.5538  2 Si 2.55-2.57, 2 Mg 2.84
16 Si 0.4528 0.3727 0.4410  3 Si 2.44-2.57, 1 Mg 2.72
17 Si 0.7072 0.6927 0.6573  2 Si 2.37, 1 Mg 2.63
18 Si 0.8334 0.2175 0.3549  4 Si 2.44-2.53, 1 Mg 2.72
19 Si 0.0116 0.7497 0.1817  3 Si 2.49-2.54
20 Si 0.5243 0.1312 0.8132  3 Si 2.50-2.54

=====

4.
A relaxed Mg5Si6 crystal, computed with PBE-GGA.

Values from the calculation:
- SG = P1 (1)
- VASP energy (eV per atom) = -3.624
- E_form (eV/atom) = 0.102

a = 3.9520 Å, b = 6.8446 Å, c = 15.6973 Å
α = 101.05°, β = 97.12°, γ = 89.54°
Last column: nearest neighbours and their distance in Å.
Fractional positions:
1 Mg 0.9741 0.0552 0.0134  4 Si 2.70-2.85
2 Mg 0.7021 0.8775 0.4763  3 Si 2.71-2.82
3 Mg 0.7904 0.9862 0.6812  1 Si 2.74
4 Mg 0.1321 0.0125 0.3371  7 Si 2.77-3.08
5 Mg 0.5454 0.9332 0.1569  7 Si 2.78-3.10
6 Mg 0.3967 0.1420 0.8631  5 Si 2.71-2.85
7 Mg 0.2390 0.2035 0.5551  5 Si 2.73-3.05, 1 Mg 3.05
8 Mg 0.1683 0.5351 0.4096  8 Si 2.87-2.97, 2 Mg 3.07-3.10
9 Mg 0.5063 0.4000 0.0802  8 Si 2.83-2.97, 2 Mg 3.09-3.11
10 Mg 0.4353 0.7160 0.9338  8 Si 2.77-2.97
11 Si 0.9395 0.4048 0.9501  2 Si 2.39-2.45
12 Si 0.9989 0.6976 0.0621  2 Si 2.37-2.39
13 Si 0.6782 0.2428 0.4330  2 Si 2.42-2.44
14 Si 0.7431 0.5442 0.5460  3 Si 2.44-2.46, 1 Mg 2.71
15 Si 0.8877 0.8642 0.8390  1 Si 2.39
16 Si 0.0626 0.2494 0.1928  3 Si 2.47-2.50
17 Si 0.6129 0.6934 0.2982  3 Si 2.45-2.52
18 Si 0.3413 0.3666 0.7292  3 Si 2.42-2.48
19 Si 0.8771 0.5078 0.8078  4 Si 2.39-2.45
20 Si 0.0688 0.6182 0.2039  4 Si 2.37-2.50
21 Si 0.6085 0.3216 0.2883  4 Si 2.42-2.52
22 Si 0.2882 0.6282 0.6393  3 Si 2.45-2.48

=====

Corrected total energy (MP2020 scheme) list, top to bottom, in eV/atom: -3.8656, -3.1758, -3.7244, -3.5848
Magnetization list, top to bottom, in μB/atom: 0.000, 0.001, 0.000, 0.000
Excess energy over the best structure of this formula in the dataset list, top to bottom, in meV per atom: 23, 60, 92, 36